! Mo6H10N2Cl14O (GGA+U, optimized geometry); values from VASP
! Energy of formation from the pure elements, meV per atom: -446
! Space-group type: P1
! Energy with MP2020 corrections, eV per atom: -4.8858
! Energy above the most stable polymorph in this dataset, meV per atom: 21
&SYSTEM
  ibrav = 0, nat = 66, ntyp = 5
/
ATOMIC_SPECIES
Mo 95.94 Mo.upf
H 1.01 H.upf
N 14.01 N.upf
Cl 35.45 Cl.upf
O 16.00 O.upf
CELL_PARAMETERS angstrom
9.9078 0.0000 0.0000
4.4248 12.5601 0.0000
4.2113 2.0438 12.5047
ATOMIC_POSITIONS angstrom
Mo 0.0000 0.0000 0.0000
Mo 7.6219 11.4734 11.9628
Mo 5.3634 10.1522 2.0126
Mo 10.0281 12.9386 9.8786
Mo 7.8180 11.6849 0.0615
Mo 11.0380 10.4550 11.9131
Mo 9.2682 5.9522 8.0427
Mo 8.2938 4.8232 4.9227
Mo 10.3170 7.5770 5.2033
Mo 10.5572 3.0695 6.7710
Mo 12.5542 5.7789 7.0820
Mo 11.5981 4.6579 3.9620
H 5.5161 6.6556 10.7777
H 6.7141 11.9186 6.3364
H 6.9100 10.4819 7.1407
H 8.2259 11.6233 6.9996
H 7.7410 10.7370 5.6636
H 4.8521 3.8549 0.6075
H 5.8813 1.7299 3.9278
H 6.1561 3.8944 1.6510
H 6.3451 4.4597 0.0551
H 5.7735 0.5671 2.9004
H 6.1231 2.7878 0.3659
H 11.6254 12.0140 6.2971
H 11.8606 12.5027 4.7311
H 13.1683 12.5499 5.8918
H 12.6238 11.0799 5.2905
H 14.0422 7.1073 11.6344
H 15.2162 9.9981 8.9863
H 15.3798 8.1192 11.6251
H 15.4478 6.6438 12.4767
H 15.0679 8.8049 8.0055
N 7.4085 11.1806 6.5373
N 5.8713 3.7481 0.6560
N 12.3337 12.0365 5.5433
N 15.0759 7.1164 11.6330
Cl 2.8029 2.9547 5.4399
Cl 5.2012 9.9602 4.4065
Cl 2.6607 3.9912 1.8150
Cl 4.2609 7.9981 1.3884
Cl 6.2643 12.5990 1.9133
Cl 5.7380 2.8141 10.6667
Cl 8.1904 6.6010 10.0984
Cl 9.8708 13.1284 7.4157
Cl 9.5985 10.4421 9.8191
Cl 7.5072 6.7188 6.4086
Cl 6.1872 4.1993 3.8195
Cl 7.5979 9.0440 1.7599
Cl 8.3570 3.6151 7.9100
Cl 5.4072 0.4209 0.5964
Cl 9.9312 9.9039 4.5691
Cl 12.8079 12.4185 10.6130
Cl 10.5095 8.1046 7.6594
Cl 11.8330 8.1037 11.7489
Cl 11.3174 5.0111 9.1602
Cl 10.2237 6.4903 2.9165
Cl 9.6521 3.0758 3.7056
Cl 8.9516 2.1884 0.2602
Cl 14.8558 13.2081 7.1775
Cl 13.0912 11.4061 1.8638
Cl 15.4772 10.2372 11.4198
Cl 16.9419 13.6825 10.8351
Cl 13.2681 6.3698 4.7242
Cl 14.5128 6.5353 8.3290
O 6.0168 0.7655 3.8328
O 15.3420 9.7472 8.0459

=====

! MgSc4Fe4O12 (GGA+U, optimized geometry); values from VASP
! Energy of formation from the pure elements, meV per atom: -2743
! Space-group type: P1
! Energy with MP2020 corrections, eV per atom: -8.4662
! Energy above the most stable polymorph in this dataset, meV per atom: 0
&SYSTEM
  ibrav = 0, nat = 21, ntyp = 4
/
ATOMIC_SPECIES
Mg 24.30 Mg.upf
Sc 44.96 Sc.upf
Fe 55.84 Fe.upf
O 16.00 O.upf
CELL_PARAMETERS angstrom
5.3434 0.0000 0.0000
-0.0066 5.9240 0.0000
-0.0100 -0.8740 7.6932
ATOMIC_POSITIONS angstrom
Mg 0.0000 0.0000 0.0000
Sc 0.0174 2.4593 5.6047
Sc 0.0871 1.2856 2.6263
Sc 2.6857 4.0153 6.5084
Sc 2.7178 4.3750 2.6344
Fe 0.0254 3.5163 1.2956
Fe 0.0298 4.9543 4.2045
Fe 2.6991 2.2197 0.1816
Fe 2.7234 1.7203 4.1425
O 0.7601 4.4958 5.9474
O 0.9063 1.5902 0.7856
O 0.9472 3.1115 3.4301
O 1.6403 0.0237 3.4165
O 1.8323 4.3233 0.7594
O 1.9218 1.9600 6.0233
O 3.5127 -0.2534 7.2735
O 3.6068 2.4103 2.0906
O 3.7391 3.8128 4.6221
O 4.2443 2.7391 7.2639
O 4.5822 5.2660 2.1913
O 4.6245 0.8890 4.5180

=====

! Li2Mn3NbO8 (GGA+U, optimized geometry); values from VASP
! Energy of formation from the pure elements, meV per atom: -2338
! Space-group type: P-1
! Energy with MP2020 corrections, eV per atom: -8.1230
! Energy above the most stable polymorph in this dataset, meV per atom: 22
&SYSTEM
  ibrav = 0, nat = 28, ntyp = 4
/
ATOMIC_SPECIES
Li 6.94 Li.upf
Mn 54.94 Mn.upf
Nb 92.91 Nb.upf
O 16.00 O.upf
CELL_PARAMETERS angstrom
6.2057 0.0000 0.0000
-0.5153 6.2041 0.0000
-0.0988 -0.1806 8.3458
ATOMIC_POSITIONS angstrom
Li 1.4687 0.0992 1.0405
Li 1.3123 2.9887 3.1402
Li 4.2793 3.0348 5.2056
Li 4.1229 5.9242 7.3053
Mn -0.0494 -0.0903 4.1729
Mn -0.2576 3.1020 0.0000
Mn 1.2913 1.4701 6.2500
Mn 3.0534 -0.0903 4.1729
Mn 2.8452 3.1020 0.0000
Mn 4.3003 4.5534 2.0959
Nb 1.1225 4.5912 6.3191
Nb 4.4691 1.4322 2.0267
O -0.2735 3.0855 6.4123
O -0.3679 6.0348 6.1712
O 1.2924 1.3010 4.3253
O 1.2866 1.6219 8.2065
O 1.0943 4.5031 8.2545
O 1.2198 4.6560 4.2841
O 2.5367 3.0309 6.3696
O 2.4699 6.0196 6.1627
O 3.1216 0.0039 2.1831
O 3.0549 2.9925 1.9763
O 4.3717 1.3675 4.0617
O 4.4972 1.5203 0.0914
O 4.3049 4.4016 0.1393
O 4.2991 4.7224 4.0205
O 5.9595 -0.0114 2.1746
O 5.8650 2.9379 1.9335

=====

! CaCoWO6 (GGA+U, optimized geometry); values from VASP
! Energy of formation from the pure elements, meV per atom: -1996
! Space-group type: Pc
! Energy with MP2020 corrections, eV per atom: -7.7472
&SYSTEM
  ibrav = 0, nat = 18, ntyp = 4
/
ATOMIC_SPECIES
Ca 40.08 Ca.upf
Co 58.93 Co.upf
W 183.84 W.upf
O 16.00 O.upf
CELL_PARAMETERS angstrom
5.2993 0.0000 0.0000
0.0000 5.3501 0.0000
-5.2903 0.0000 7.5035
ATOMIC_POSITIONS angstrom
Ca 0.0000 1.0924 0.0000
Ca -2.6452 4.2577 3.7517
Co 2.6000 1.3101 1.8684
Co -0.0452 4.0401 5.6201
W -2.7043 1.4158 5.6245
W -0.0591 3.9344 1.8728
O -1.1926 0.1630 2.1259
O -3.8378 5.1871 5.8777
O 1.0846 2.4431 1.6000
O -1.5606 2.9070 5.3517
O -1.1578 0.1733 5.4009
O 1.4874 5.1768 1.6492
O 2.9744 1.3787 0.0352
O 0.3293 3.9715 3.7869
O 2.2586 1.2968 3.7232
O -0.3865 4.0534 7.4750
O 1.0498 2.5064 5.9003
O 3.6950 2.8437 2.1486

=====

! Mn2CuO4 (GGA+U, optimized geometry); values from VASP
! Energy of formation from the pure elements, meV per atom: -1651
! Space-group type: P-1
! Energy with MP2020 corrections, eV per atom: -7.6815
! Energy above the most stable polymorph in this dataset, meV per atom: 28
&SYSTEM
  ibrav = 0, nat = 14, ntyp = 3
/
ATOMIC_SPECIES
Mn 54.94 Mn.upf
Cu 63.55 Cu.upf
O 16.00 O.upf
CELL_PARAMETERS angstrom
5.8591 0.0000 0.0000
-2.9239 5.1645 0.0000
-2.9141 -1.7274 4.8787
ATOMIC_POSITIONS angstrom
Mn 0.0000 0.0000 0.0000
Mn -1.4570 -0.8637 2.4393
Mn 2.9296 0.0000 0.0000
Mn 1.4676 2.5823 0.0000
Cu -1.4575 2.5659 1.8439
Cu 1.4786 0.8712 3.0347
O -2.7875 -0.0784 3.7214
O -4.3783 2.7738 3.7154
O -0.1181 -0.0792 3.7012
O 1.4796 0.8800 1.0150
O -1.4586 2.5571 3.8636
O 0.1392 3.5163 1.1775
O 4.3994 0.6634 1.1632
O 2.8085 3.5155 1.1572

=====

! MgV2O4 (GGA+U, optimized geometry); values from VASP
! Energy of formation from the pure elements, meV per atom: -2619
! Space-group type: Pbcm
! Energy with MP2020 corrections, eV per atom: -8.2702
! Energy above the most stable polymorph in this dataset, meV per atom: 87
&SYSTEM
  ibrav = 0, nat = 28, ntyp = 3
/
ATOMIC_SPECIES
Mg 24.30 Mg.upf
V 50.94 V.upf
O 16.00 O.upf
CELL_PARAMETERS angstrom
2.9660 0.0000 0.0000
0.0000 9.7938 0.0000
0.0000 0.0000 9.9140
ATOMIC_POSITIONS angstrom
Mg 0.6818 1.3410 2.4785
Mg 0.6818 3.5559 7.4355
Mg 2.2842 6.2379 2.4785
Mg 2.2842 8.4528 7.4355
V 0.7702 6.0508 5.6831
V 0.7702 6.0508 9.1879
V 0.7702 8.6399 0.7261
V 0.7702 8.6399 4.2309
V 2.1958 1.1539 5.6831
V 2.1958 1.1539 9.1879
V 2.1958 3.7430 0.7261
V 2.1958 3.7430 4.2309
O 0.6317 2.4484 0.0000
O 0.6317 2.4484 4.9570
O 0.7692 5.1124 1.1314
O 0.7692 5.1124 3.8256
O 0.7692 9.5783 6.0885
O 0.7692 9.5783 8.7826
O 0.8156 6.9945 7.4355
O 0.8156 7.6962 2.4785
O 2.1504 2.0976 7.4355
O 2.1504 2.7993 2.4785
O 2.1969 0.2155 1.1314
O 2.1969 0.2155 3.8256
O 2.1969 4.6814 6.0885
O 2.1969 4.6814 8.7826
O 2.3344 7.3453 0.0000
O 2.3344 7.3453 4.9570

=====

! K4MgMo3O12 (GGA+U, optimized geometry); values from VASP
! Energy of formation from the pure elements, meV per atom: -2289
! Space-group type: P-1
! Energy with MP2020 corrections, eV per atom: -7.1864
&SYSTEM
  ibrav = 0, nat = 40, ntyp = 4
/
ATOMIC_SPECIES
K 39.10 K.upf
Mg 24.30 Mg.upf
Mo 95.94 Mo.upf
O 16.00 O.upf
CELL_PARAMETERS angstrom
7.9977 0.0000 0.0000
-2.9084 9.6484 0.0000
-2.8888 -1.4203 9.6330
ATOMIC_POSITIONS angstrom
K 0.0000 0.0000 0.0000
K -3.0615 4.2187 8.5425
K -0.9191 4.4177 4.5756
K -0.6739 1.2082 7.4685
K 3.9989 0.0000 0.0000
K 2.8744 7.0198 2.1645
K 3.1196 3.8104 5.0574
K 5.2620 4.0094 1.0904
Mg 0.9964 0.5917 4.2896
Mg 1.2041 7.6363 5.3434
Mo -3.3031 7.3284 5.8780
Mo -0.9791 7.5177 2.5093
Mo 1.4350 3.2092 1.7705
Mo 0.7655 5.0188 7.8625
Mo 3.1796 0.7103 7.1237
Mo 5.5036 0.8996 3.7550
O -2.3381 6.3625 2.5708
O -2.9187 5.5933 6.0692
O -0.9675 0.7885 4.7348
O -3.5631 8.0449 7.4952
O -0.0478 4.0605 1.2613
O -1.5583 9.2442 2.5819
O -1.9313 8.1895 5.0662
O -0.2521 7.4383 0.8876
O 1.8855 2.0004 0.5181
O 1.1401 2.4610 3.4160
O -0.5494 3.8224 7.6574
O 0.3507 6.9893 3.6470
O 1.8498 1.2388 5.9860
O 2.7499 4.4057 1.9756
O 1.0604 5.7671 6.2170
O 0.3150 6.2277 9.1149
O 2.4526 0.7898 8.7454
O 4.1318 0.0385 4.5667
O 3.7588 -1.0161 7.0511
O 2.2483 4.1676 8.3716
O 5.7636 0.1832 2.1378
O 3.1680 7.4396 4.8982
O 5.1192 2.6348 3.5638
O 4.5386 1.8655 7.0621

=====

! MnO2 (GGA+U, optimized geometry); values from VASP
! Energy of formation from the pure elements, meV per atom: -1654
! Space-group type: P1
! Energy with MP2020 corrections, eV per atom: -8.0065
&SYSTEM
  ibrav = 0, nat = 36, ntyp = 2
/
ATOMIC_SPECIES
Mn 54.94 Mn.upf
O 16.00 O.upf
CELL_PARAMETERS angstrom
5.8155 0.0000 0.0000
2.9000 5.0410 0.0000
0.0080 0.0263 14.6649
ATOMIC_POSITIONS angstrom
Mn 0.0000 0.0000 0.0000
Mn 7.2362 2.4708 0.0122
Mn 2.8676 3.3458 4.7947
Mn 1.4321 0.8124 6.6655
Mn 2.8990 1.6940 9.7844
Mn 4.3386 4.1487 9.7597
Mn 5.7454 5.0357 0.0040
Mn 4.3331 0.8172 4.8014
Mn 5.7865 3.3424 4.8011
Mn 5.7505 1.6976 9.7652
Mn 7.2381 4.1995 11.5594
Mn 7.2324 4.1878 2.3834
O 0.0710 0.0500 10.8146
O 1.4191 2.3932 10.8276
O 2.6926 3.4519 1.1293
O 1.4248 0.8337 8.7275
O 1.4218 0.8221 1.0173
O 3.0162 3.2732 8.7955
O 2.7461 1.6095 13.6732
O 4.3294 4.3213 13.6940
O 2.9616 1.7099 5.8426
O 4.3290 4.0760 5.8489
O 2.7739 0.0580 10.8256
O 4.3293 2.5005 3.8444
O 4.3327 2.5177 10.8115
O 5.9520 4.9204 3.6836
O 4.3284 1.0025 8.7919
O 5.6693 3.2846 8.8076
O 4.3288 0.6162 1.1202
O 5.9576 3.4466 1.1299
O 5.7033 1.7084 5.8372
O 7.2376 4.2055 13.6097
O 7.2367 4.1829 5.7952
O 5.9217 1.6152 13.6742
O 7.2369 2.7054 3.6787
O 8.5135 4.9219 3.6810

=====

! KRb2FeF6 (GGA+U, optimized geometry); values from VASP
! Energy of formation from the pure elements, meV per atom: -2936
! Space-group type: Fm-3m
! Energy with MP2020 corrections, eV per atom: -5.2389
&SYSTEM
  ibrav = 0, nat = 10, ntyp = 4
/
ATOMIC_SPECIES
K 39.10 K.upf
Rb 85.47 Rb.upf
Fe 55.84 Fe.upf
F 19.00 F.upf
CELL_PARAMETERS angstrom
0.0000 4.5150 4.5150
4.5150 0.0000 4.5150
4.5150 4.5150 0.0000
ATOMIC_POSITIONS angstrom
K 0.0000 0.0000 0.0000
Rb 2.2575 2.2575 2.2575
Rb 6.7724 6.7724 6.7724
Fe 4.5150 4.5150 4.5150
F 4.5150 4.5150 2.5510
F 4.5150 2.5510 4.5150
F 6.4789 4.5150 4.5150
F 2.5510 4.5150 4.5150
F 4.5150 6.4789 4.5150
F 4.5150 4.5150 6.4789

=====

! Ca3Mn2O7 (GGA+U, optimized geometry); values from VASP
! Energy of formation from the pure elements, meV per atom: -2463
! Space-group type: P2_1
! Energy with MP2020 corrections, eV per atom: -7.3782
! Energy above the most stable polymorph in this dataset, meV per atom: 184
&SYSTEM
  ibrav = 0, nat = 24, ntyp = 3
/
ATOMIC_SPECIES
Ca 40.08 Ca.upf
Mn 54.94 Mn.upf
O 16.00 O.upf
CELL_PARAMETERS angstrom
5.1453 0.0000 0.0000
0.0000 10.2010 0.0000
-2.5391 0.0000 6.1522
ATOMIC_POSITIONS angstrom
Ca -0.0986 0.0000 1.9581
Ca 0.0561 5.3298 1.9734
Ca 0.0851 2.6151 4.1814
Ca 2.5211 7.7156 1.9708
Ca 2.5501 0.2293 4.1788
Ca 2.7048 5.1005 4.1942
Mn -0.0536 2.6858 0.1587
Mn 2.5253 4.9945 0.0239
Mn 0.0809 10.0950 6.1283
Mn 2.6598 7.7862 5.9936
O -0.0432 7.6985 1.7427
O -1.6911 9.4428 6.0862
O 0.0415 2.4841 1.9758
O -1.4753 6.1781 6.1154
O -0.1023 0.3235 4.2654
O 1.7251 3.3448 0.1503
O 0.0664 4.9378 4.2472
O 2.5397 10.0382 1.9050
O 0.8811 8.4453 6.0019
O 2.7084 5.4239 1.8868
O 4.0815 1.0776 0.0368
O 2.5647 7.5846 4.1764
O 4.2973 4.3423 0.0660
O 2.6494 2.5980 4.4095

=====

! K2Li2NiO4 (GGA+U, optimized geometry); values from VASP
! Energy of formation from the pure elements, meV per atom: -1453
! Space-group type: P2_1/c
! Energy with MP2020 corrections, eV per atom: -4.9652
! Energy above the most stable polymorph in this dataset, meV per atom: 20
&SYSTEM
  ibrav = 0, nat = 36, ntyp = 4
/
ATOMIC_SPECIES
K 39.10 K.upf
Li 6.94 Li.upf
Ni 58.69 Ni.upf
O 16.00 O.upf
CELL_PARAMETERS angstrom
5.4651 0.0000 0.0000
0.0000 9.0455 0.0000
-4.1654 0.0000 10.2602
ATOMIC_POSITIONS angstrom
K -0.4008 0.0030 3.6558
K -2.4834 4.5197 8.7859
K -1.1254 2.2438 6.5403
K 0.9573 2.2789 1.4102
K 0.3424 6.7666 8.8501
K 2.4251 6.8017 3.7199
K 1.7005 9.0425 6.6044
K 3.7832 4.5258 1.4743
Li -0.1602 6.7536 1.9385
Li -2.2429 6.8147 7.0686
Li -3.0413 0.1177 9.5696
Li -0.9586 4.4050 4.4395
Li 2.2583 4.6405 5.8208
Li 4.3410 8.9278 0.6907
Li 3.5427 2.2308 3.1916
Li 1.4600 2.2920 8.3217
Ni -0.2147 6.4648 5.6453
Ni 1.8680 7.1034 0.5152
Ni -0.5683 1.9421 9.7451
Ni 1.5144 2.5807 4.6150
O -1.3279 5.1750 6.3184
O -0.3193 6.2273 3.8316
O -2.4020 7.3410 8.9617
O 0.7548 8.3933 1.1883
O -2.2444 1.8420 9.0980
O -0.1617 2.6807 3.9679
O 1.0759 5.5561 0.9506
O -1.0068 8.0122 6.0807
O 2.3065 1.0333 4.1795
O 0.2239 3.4894 9.3096
O 1.4615 6.3648 6.2923
O 3.5442 7.2035 1.1622
O 0.5450 0.6523 9.0720
O 3.7017 1.7045 1.2985
O 1.6190 2.8182 6.4287
O 2.6276 3.8705 3.9419

=====

! Ba2VP2O10 (GGA+U, optimized geometry); values from VASP
! Energy of formation from the pure elements, meV per atom: -2795
! Space-group type: Cm
! Energy with MP2020 corrections, eV per atom: -7.6766
&SYSTEM
  ibrav = 0, nat = 15, ntyp = 4
/
ATOMIC_SPECIES
Ba 137.33 Ba.upf
V 50.94 V.upf
P 30.97 P.upf
O 16.00 O.upf
CELL_PARAMETERS angstrom
6.3014 -2.5963 0.0000
6.3014 2.5963 0.0000
-1.8413 0.0000 6.9769
ATOMIC_POSITIONS angstrom
Ba 0.0000 0.0000 0.0000
Ba 7.3786 0.0000 4.0519
V 3.7677 0.0000 1.9189
P 8.7540 0.0000 0.5230
P 11.2835 0.0000 3.5237
O -0.1002 0.0000 4.4524
O 5.0983 1.3647 2.5368
O 3.0282 0.0000 3.7085
O 4.4658 0.0000 0.4065
O 8.6894 1.2359 1.5219
O 5.6406 0.0000 6.6465
O 5.0983 -1.3647 2.5368
O 8.1667 0.0000 6.6522
O 9.9792 0.0000 4.3137
O 8.6894 -1.2359 1.5219